# 1
Density functional theory data (PBE-GGA) for a geometry-optimized AlPNCl5 structure.

Cell lengths 7.408, 8.700, 8.803 Å; angles 64.19, 76.73, 67.88 degrees
Element x y z (fractional)
1 Cl 0.996 0.241 0.345
2 Cl 0.004 0.759 0.655
3 Cl 0.307 0.509 0.188
4 Cl 0.270 0.247 0.936
5 Cl 0.693 0.491 0.812
6 Cl 0.438 0.815 0.375
7 Cl 0.730 0.753 0.064
8 Cl 0.262 0.969 0.797
9 Cl 0.738 0.031 0.203
10 Cl 0.562 0.185 0.625
11 Al 0.918 0.566 0.626
12 Al 0.082 0.434 0.374
13 P 0.285 0.214 0.722
14 P 0.715 0.786 0.278
15 N 0.868 0.630 0.400
16 N 0.132 0.370 0.600

Total magnetization ... 0.00 Bohr magnetons per cell
Density ... 1755 kg/m³
MP2020-corrected energy ... -4.752 eV/atom
SG ... P-1 (2)

=====

# 2
Density functional theory data (PBE-GGA) for a geometry-optimized NdCd20Ni2 structure.

Cell lengths 11.177, 11.177, 11.177 Å; angles 60.00, 60.00, 60.00 degrees
Element x y z (fractional)
1 Cd 0.625 0.625 0.125
2 Cd 0.387 0.113 0.113
3 Cd 0.137 0.863 0.863
4 Cd 0.301 0.301 0.569
5 Cd 0.949 0.949 0.420
6 Cd 0.949 0.949 0.681
7 Cd 0.301 0.830 0.569
8 Cd 0.569 0.301 0.830
9 Cd 0.301 0.569 0.830
10 Cd 0.949 0.681 0.420
11 Cd 0.569 0.301 0.301
12 Cd 0.830 0.301 0.569
13 Cd 0.137 0.863 0.137
14 Cd 0.387 0.387 0.113
15 Cd 0.681 0.949 0.420
16 Cd 0.830 0.569 0.301
17 Cd 0.301 0.830 0.301
18 Cd 0.863 0.137 0.137
19 Cd 0.625 0.625 0.625
20 Cd 0.125 0.625 0.625
21 Cd 0.863 0.137 0.863
22 Cd 0.301 0.569 0.301
23 Cd 0.681 0.420 0.949
24 Cd 0.949 0.420 0.681
25 Cd 0.420 0.949 0.681
26 Cd 0.387 0.113 0.387
27 Cd 0.569 0.830 0.301
28 Cd 0.113 0.387 0.113
29 Cd 0.863 0.863 0.137
30 Cd 0.625 0.125 0.625
31 Cd 0.420 0.949 0.949
32 Cd 0.137 0.137 0.863
33 Cd 0.301 0.301 0.830
34 Cd 0.681 0.949 0.949
35 Cd 0.420 0.681 0.949
36 Cd 0.113 0.387 0.387
37 Cd 0.949 0.681 0.949
38 Cd 0.113 0.113 0.387
39 Cd 0.830 0.301 0.301
40 Cd 0.949 0.420 0.949
41 Ni 0.125 0.125 0.625
42 Ni 0.625 0.125 0.125
43 Ni 0.125 0.125 0.125
44 Ni 0.125 0.625 0.125
45 Nd 0.500 0.500 0.500
46 Nd 0.750 0.750 0.750

Total magnetization ... 0.03 Bohr magnetons per cell
Density ... 8442 kg/m³
VASP energy ... -1.61 eV/atom
SG ... Fd-3m (227)

=====

# 3
Density functional theory data (PBE-GGA) for a geometry-optimized Sc2InNi2 structure.

Cell lengths 7.143, 7.143, 3.378 Å; angles 90.00, 90.00, 90.00 degrees
Element x y z (fractional)
1 Ni 0.877 0.377 0.000
2 Ni 0.377 0.123 0.000
3 Ni 0.123 0.623 0.000
4 Ni 0.623 0.877 0.000
5 Sc 0.672 0.172 0.500
6 Sc 0.172 0.328 0.500
7 Sc 0.328 0.828 0.500
8 Sc 0.828 0.672 0.500
9 In 0.000 0.000 0.000
10 In 0.500 0.500 0.000

Density ... 6207 kg/m³
VASP energy ... -5.92 eV/atom
SG ... P4/mbm (127)

=====

Q: Which formula does entry 3 have?
A: Sc2InNi2